Crystalline Ba2YbSbO6 at its relaxed geometry. Source: the Materials Project database, functional r2SCAN.

Summary:
Formation energy = -2.9980 eV per atom
Space group = Fm-3m, No. 225

a b c (Å): 5.919 5.919 5.919
angles (deg): 60.00 60.00 60.00
Fractional positions:
O  0.761  0.761  0.239
O  0.239  0.239  0.761
O  0.239  0.761  0.239
Sb  0.000  0.000  0.000
Ba  0.250  0.250  0.250
Ba  0.750  0.750  0.750
O  0.761  0.239  0.239
Yb  0.500  0.500  0.500
O  0.761  0.239  0.761
O  0.239  0.761  0.761

Crystalline Ta2Au at its relaxed geometry. Source: the Materials Project database, functional r2SCAN.

Summary:
Formation energy = -0.0704 eV per atom
Space group = P4_2/mnm, No. 136

a b c (Å): 5.201 10.068 10.068
angles (deg): 90.00 90.00 90.00
Fractional positions:
Au  0.500  0.233  0.436
Ta  0.250  0.817  0.817
Ta  0.250  0.317  0.683
Au  0.500  0.436  0.233
Ta  0.250  0.683  0.317
Ta  0.750  0.317  0.683
Ta  0.000  0.465  0.129
Ta  0.500  0.965  0.371
Ta  0.750  0.683  0.317
Au  0.000  0.000  0.000
Ta  0.500  0.035  0.629
Ta  0.750  0.817  0.817
Ta  0.000  0.604  0.604
Ta  0.250  0.183  0.183
Ta  0.000  0.129  0.465
Au  0.000  0.936  0.267
Ta  0.500  0.896  0.104
Au  0.000  0.064  0.733
Au  0.500  0.767  0.564
Ta  0.500  0.629  0.035
Ta  0.750  0.183  0.183
Au  0.000  0.267  0.936
Au  0.500  0.564  0.767
Au  0.500  0.500  0.500
Ta  0.000  0.396  0.396
Ta  0.500  0.371  0.965
Ta  0.000  0.535  0.871
Ta  0.000  0.871  0.535
Au  0.000  0.733  0.064
Ta  0.500  0.104  0.896